A geometry-optimized Rb2TeMo3O15 structure, computed with GGA+U.

Geometry as extended XYZ:
```
84
Lattice="-5.221 -3.875 -7.501 8.992 -3.621 -4.388 4.026 -15.813 5.367" Properties=species:S:1:pos:R:3 pbc="T T T"
O 3.906 -16.889 -3.532
O -2.513 -7.638 -5.827
O 3.141 -11.062 -7.913
O 8.939 -18.895 -1.393
O 6.160 -11.565 -0.989
O 2.153 -6.416 -7.365
O 4.662 -18.585 -5.650
O 0.617 -11.815 -2.085
O 0.658 -3.509 -0.144
O 2.483 -9.833 -3.524
O -0.440 -13.294 -4.328
O 5.315 -13.477 -2.998
O 7.139 -19.801 -6.377
O 3.632 -8.028 -9.465
O 3.664 -4.017 -4.367
O 2.129 -19.496 -4.240
O 4.165 -8.591 -1.073
O 4.361 -9.407 -5.874
O 2.576 -2.686 -2.243
O 6.417 -18.031 -3.415
O 3.291 -15.463 2.093
O 4.656 -12.248 1.392
O -0.601 -10.541 -4.271
O 10.310 -15.672 -0.695
O 8.398 -12.769 -2.250
O 3.632 -14.719 -5.449
O 10.857 -18.166 0.638
O 3.891 -6.421 -2.990
O 2.375 -13.099 -3.296
O 5.668 -3.814 -2.282
O 6.624 -15.208 -5.375
O 4.165 -15.282 2.943
O 1.638 -11.745 -5.533
O 3.440 -11.446 -1.211
O 6.971 -8.750 -5.285
O 8.582 -17.267 1.105
O -1.142 -4.415 -5.128
O 7.180 -11.495 -4.437
O 4.134 -19.293 -2.155
O 0.826 -14.560 -1.237
O 1.252 -12.469 0.500
O 6.264 -15.943 -6.297
O 8.237 -10.016 -2.194
O 3.436 -13.903 -0.648
O 6.161 -5.029 -5.257
O 5.422 -10.211 -3.226
O 6.545 -10.841 -7.022
O 3.136 -4.725 -0.871
O 4.358 -11.864 -5.310
O 1.533 -7.367 -0.224
O -0.785 -6.043 -7.627
O -3.060 -5.144 -7.159
O 5.644 -16.894 0.843
O 1.380 -5.279 -3.107
O 4.506 -7.847 -8.614
O 1.636 -18.281 -1.265
O 1.643 -9.168 -6.574
O 6.154 -14.142 0.053
O 5.221 -20.624 -4.278
O 1.173 -8.102 -1.147
Mo 7.298 -11.445 -2.525
Mo 9.369 -19.308 0.243
Mo -2.862 -7.077 -7.435
Mo 0.500 -11.865 -3.997
Mo 10.659 -16.233 0.913
Mo -1.572 -4.002 -6.765
Mo 6.079 -10.232 -5.459
Mo 4.740 -18.390 -3.744
Mo 4.996 -12.881 -0.200
Mo 1.718 -13.078 -1.062
Mo 3.058 -4.920 -2.777
Mo 2.801 -10.429 -6.321
Te 3.975 -13.394 -4.262
Te 0.819 -6.335 -8.588
Te 6.978 -16.974 2.066
Te 3.823 -9.916 -2.260
Rb 0.970 -16.305 -3.661
Rb 6.827 -7.004 -2.860
Rb 8.536 -20.181 -3.891
Rb 0.195 -7.480 -4.567
Rb 5.349 -13.146 -8.262
Rb 2.448 -10.164 1.740
Rb -0.739 -3.129 -2.631
Rb 7.602 -15.830 -1.955
```

Results
- Final energy: -6.137 eV/atom
- SG: P2_1/c (14)


A geometry-optimized Ca3Fe3As4O16 structure, computed with GGA+U.

Geometry as extended XYZ:
```
52
Lattice="-0.982 -5.077 -0.467 3.861 0.022 -8.355 17.196 -3.262 -0.691" Properties=species:S:1:pos:R:3 pbc="T T T"
O 7.170 -3.096 -7.177
O 2.742 -2.558 -1.541
O 3.403 -1.877 -4.315
O 17.819 -3.975 -5.583
O 4.562 -5.100 -5.248
O 6.650 -2.959 -4.046
O 5.965 -2.886 -0.635
O 15.329 -6.298 -1.742
O 8.423 -5.738 -7.774
O 14.110 -5.431 -8.878
O 3.922 -5.583 -2.174
O 4.746 -2.019 -7.771
O 13.524 -2.716 -8.031
O 13.426 -5.357 -5.467
O 17.962 -3.466 -2.844
O 7.968 -5.360 -4.903
O 6.551 -5.601 -1.483
O 2.256 -4.341 -3.930
O 8.967 -3.887 -2.687
O 14.735 -3.630 -0.899
O 12.906 -5.221 -2.336
O 2.113 -4.851 -6.670
O 9.116 -2.888 -5.287
O 10.959 -5.429 -4.226
O 15.513 -3.217 -4.265
O 11.652 -2.579 -1.739
O 11.108 -4.430 -6.827
O 5.340 -4.686 -8.614
O 12.108 -2.957 -4.610
O 16.672 -6.440 -5.198
O 16.153 -2.734 -7.340
O 17.333 -5.759 -7.972
Fe 10.973 -4.430 -2.307
Fe 10.528 -1.620 -4.523
Fe 17.259 -7.798 -7.761
Fe 2.816 -0.518 -1.752
Fe 9.102 -3.887 -7.206
Fe 1.439 -2.528 -4.411
Ca 8.107 -4.169 -0.579
Ca 7.249 -1.072 -5.954
Ca 15.437 -4.825 -6.495
Ca 12.826 -7.245 -3.559
Ca 0.000 0.000 0.000
Ca 4.638 -3.492 -3.018
As 8.113 -3.804 -4.161
As 11.962 -4.512 -5.352
As 5.925 -3.067 -8.378
As 2.886 -5.350 -5.234
As 14.046 -7.165 -8.951
As 17.189 -2.967 -4.279
As 6.029 -1.151 -0.562
As 14.150 -5.250 -1.135
```

Results
- Final energy: -6.489 eV/atom
- SG: P2_1/c (14)


A geometry-optimized LiFeB2O5 structure, computed with GGA+U.

Geometry as extended XYZ:
```
36
Lattice="11.851 0.000 0.000 0.000 4.368 0.000 0.000 0.132 6.212" Properties=species:S:1:pos:R:3 pbc="T T T"
O 7.551 3.758 0.469
O 0.878 2.851 1.914
O 8.930 1.402 3.024
O 5.135 3.359 1.166
O 5.047 2.917 5.020
O 6.716 1.142 5.046
O 0.791 3.425 4.272
O 2.920 3.098 3.189
O 4.299 0.743 5.744
O 10.973 1.650 4.298
O 6.803 1.584 1.192
O 10.951 3.436 5.892
O 10.225 3.824 3.575
O 6.826 3.370 2.786
O 1.626 0.677 2.637
O 0.900 1.065 0.320
O 11.060 1.076 1.940
O 5.025 1.131 3.426
O 8.846 1.468 6.130
O 3.005 3.032 0.082
Li 8.562 2.816 4.634
Li 3.289 1.685 1.578
Li 2.637 1.751 4.684
Li 9.214 2.750 1.528
B 6.603 3.055 1.295
B 7.506 0.812 0.115
B 11.174 3.121 4.401
B 0.677 1.379 1.811
B 4.345 3.688 6.097
B 5.248 1.445 4.917
B 10.270 0.878 3.221
B 1.580 3.622 2.991
Fe 7.112 0.966 3.063
Fe 4.739 3.534 3.149
Fe 10.664 1.032 6.169
Fe 1.187 3.468 0.043
```

Results
- Final energy: -7.159 eV/atom
- SG: P2_1/c (14)


A geometry-optimized Mg14SiNiO16 structure, computed with GGA+U.

Geometry as extended XYZ:
```
32
Lattice="8.502 0.000 0.000 0.000 8.596 0.000 0.000 0.000 4.261" Properties=species:S:1:pos:R:3 pbc="T T T"
Mg 4.251 0.000 0.000
Mg 0.000 6.501 2.130
Mg 6.383 6.490 0.000
Mg 0.000 2.094 2.130
Mg 2.130 4.298 2.130
Mg 6.372 4.298 2.130
Mg 4.251 6.462 2.130
Mg 4.251 4.298 0.000
Mg 2.118 6.490 0.000
Mg 2.095 0.000 2.130
Mg 2.118 2.105 0.000
Mg 6.407 0.000 2.130
Mg 4.251 2.134 2.130
Mg 6.383 2.105 0.000
O 2.064 4.298 0.000
O 4.251 2.178 0.000
O 6.312 0.000 0.000
O 2.109 2.155 2.130
O 0.000 6.112 0.000
O 4.251 4.298 2.130
O 2.190 0.000 0.000
O 0.000 0.000 2.130
O 0.000 2.484 0.000
O 4.251 6.418 0.000
O 0.000 4.298 2.130
O 6.392 2.155 2.130
O 2.109 6.441 2.130
O 6.392 6.441 2.130
O 4.251 0.000 2.130
O 6.437 4.298 0.000
Si 0.000 4.298 0.000
Ni 0.000 0.000 0.000
```

Results
- Final energy: -5.891 eV/atom
- SG: Pmmm (47)


A geometry-optimized La4MnO8 structure, computed with GGA+U.

Geometry as extended XYZ:
```
52
Lattice="6.749 -2.021 2.896 3.476 2.692 -6.221 2.790 12.794 2.429" Properties=species:S:1:pos:R:3 pbc="T T T"
O 9.842 5.733 0.983
O 8.751 13.786 -0.752
O 4.623 5.096 -2.208
O 9.367 8.909 4.424
O 7.913 14.992 -3.085
O 5.710 7.926 -2.764
O 1.435 6.385 1.232
O 7.346 5.570 1.794
O 5.967 9.642 2.841
O 10.129 9.714 -1.798
O 7.047 3.822 -3.737
O 7.731 11.265 -0.135
O 5.417 14.828 -2.274
O 5.017 9.379 -0.136
O 2.911 4.028 1.037
O 8.023 4.363 -0.625
O 8.205 8.090 -3.576
O 4.264 -0.322 -0.144
O 6.260 2.739 2.351
O 3.638 13.450 0.911
O 6.548 6.720 -0.431
O 9.043 6.884 -1.242
O 5.102 -1.528 2.190
O 8.366 8.090 1.178
O 6.730 10.447 -3.381
O 11.080 9.977 1.179
O 5.284 2.199 -0.761
O 10.396 2.534 -2.423
O 3.930 6.548 0.420
O 8.684 1.466 0.822
O 3.466 0.829 -2.369
O 6.759 -0.158 -0.956
La 7.514 8.899 -1.281
La 10.314 11.725 -0.825
La 7.232 5.833 -2.764
La 10.895 7.966 0.205
La 2.401 8.564 0.382
La 5.202 11.390 0.837
La 6.075 0.728 1.377
La 2.694 1.662 -0.108
La 8.868 3.477 1.795
La 7.806 1.997 -1.771
La 4.439 3.085 -3.181
La 5.501 4.565 0.385
La 3.864 6.921 -4.174
La 8.583 10.456 2.323
La 6.946 12.813 -2.236
La 5.783 7.631 1.868
Mn 8.194 6.227 0.276
Mn 6.266 15.485 -3.792
Mn 5.113 0.335 -1.662
Mn 3.082 5.892 1.938
```

Results
- Final energy: -8.049 eV/atom


A geometry-optimized MnOF structure, computed with GGA+U.

Geometry as extended XYZ:
```
12
Lattice="3.774 0.307 0.397 -0.860 -6.246 -5.393 -1.614 2.480 -4.716" Properties=species:S:1:pos:R:3 pbc="T T T"
Mn -0.210 -4.095 -4.038
Mn 1.510 0.636 -5.675
Mn 1.888 -3.727 -6.012
Mn -0.588 0.268 -3.700
O 1.332 0.400 -3.799
O 1.710 -3.963 -4.136
O -0.410 0.504 -5.576
O -0.032 -3.859 -5.914
F 2.994 0.398 -1.354
F -0.458 -1.974 -3.304
F -1.694 -3.857 -8.359
F 1.758 -1.485 -6.408
```

Results
- Final energy: -6.762 eV/atom


A geometry-optimized BaCaFe24O38 structure, computed with GGA+U.

Geometry as extended XYZ:
```
64
Lattice="-4.040 -0.105 4.448 0.966 3.173 5.011 -10.919 18.306 -9.487" Properties=species:S:1:pos:R:3 pbc="T T T"
Fe -3.734 2.503 2.738
Fe -9.869 15.852 -4.532
Fe -11.657 18.849 -6.085
Fe -7.186 13.724 -0.098
Fe -1.734 2.555 0.536
Fe -9.189 13.672 2.107
Fe -10.300 18.945 -2.804
Fe -7.185 10.655 1.845
Fe -4.761 7.631 -2.094
Fe -12.782 17.319 -3.084
Fe -5.435 9.111 -4.721
Fe -12.304 18.893 -0.598
Fe -5.415 7.688 3.383
Fe -2.730 4.577 -2.371
Fe -8.558 13.653 -3.393
Fe -2.374 2.589 6.025
Fe -1.256 4.126 3.017
Fe -6.770 10.656 -1.839
Fe -6.761 7.579 0.108
Fe -4.144 5.556 4.488
Fe -11.263 16.798 2.344
Fe -0.025 0.042 -0.021
Fe -4.283 9.201 0.387
Fe -9.668 12.099 -0.378
O -5.751 6.335 -1.014
O -10.373 18.681 -0.863
O -10.604 13.369 0.785
O -3.417 7.131 3.350
O -8.654 10.505 -1.381
O -3.653 2.818 0.809
O -5.242 7.085 5.360
O -5.291 7.843 1.370
O -10.576 14.243 -3.377
O -3.199 3.602 7.462
O -5.863 9.134 -1.050
O -6.492 10.561 -3.761
O -3.713 1.913 4.792
O -12.818 17.080 -1.138
O -5.300 10.787 1.398
O -8.315 15.723 -3.123
O -10.322 19.547 -4.856
O -13.001 17.793 -5.158
O -10.844 17.131 -3.311
O -3.194 4.328 3.192
O -1.272 4.378 1.077
O -8.751 14.290 -5.386
O -7.451 10.731 3.767
O -8.093 12.179 1.055
O -12.383 19.372 -2.673
O -10.839 17.849 -7.537
O -7.965 9.041 1.098
O -5.679 5.651 3.096
O -2.817 9.515 1.725
O -1.647 2.065 2.613
O -8.159 14.970 1.060
O -8.631 13.420 -1.388
O -5.975 12.259 -1.079
O -3.369 7.893 -0.745
O -11.146 11.809 -1.727
O -0.712 5.984 3.555
O -1.048 3.658 5.092
O -13.312 15.441 -3.608
Ba -10.238 15.775 -0.809
Ca -3.754 5.601 0.784
```

Results
- Final energy: -6.645 eV/atom
- SG: P-6m2 (187)


A geometry-optimized MnCoO4 structure, computed with GGA+U.

Geometry as extended XYZ:
```
6
Lattice="2.894 0.000 0.000 0.000 4.975 0.000 0.000 1.688 4.723" Properties=species:S:1:pos:R:3 pbc="T T T"
Mn 1.447 0.844 2.362
Co 0.000 3.332 2.362
O 0.000 4.970 3.314
O 1.447 4.125 1.415
O 1.447 2.538 3.308
O 0.000 1.693 1.409
```

Results
- Final energy: -6.420 eV/atom
- SG: P2/m (10)


Q: Among the records above, which one has the lowest final energy?
A: La4MnO8


Q: Number 7 is which compound?
A: BaCaFe24O38